[1]
NaScTa3SiP5O24 after structural relaxation, computed with PBE.

Calculated values
Calculated total energy: -8.187 eV/atom
Energy with MP2020 corrections: -8.658 eV per atom
Formation enthalpy at 0 K: -108.6 eV/f.u.

Cell: 8.790 8.791 22.843 Å, 89.77 90.13 119.99°
Fractional coordinates of all 105 atoms:
O 0.641 0.135 0.421
O 0.313 0.836 0.972
O 0.495 0.361 0.421
O 0.868 0.369 0.921
O 0.033 0.201 0.914
O 0.527 0.840 0.759
O 0.530 0.835 0.471
O 0.454 0.156 0.529
O 0.166 0.478 0.261
O 0.192 0.170 0.093
O 0.637 0.504 0.637
O 0.867 0.506 0.138
O 0.870 0.364 0.638
O 0.202 0.033 0.305
O 0.866 0.506 0.421
O 0.193 0.017 0.596
O 0.172 0.971 0.195
O 0.825 0.806 0.596
O 0.492 0.360 0.138
O 0.141 0.644 0.362
O 0.211 0.169 0.808
O 0.969 0.162 0.308
O 0.503 0.645 0.862
O 0.807 0.834 0.193
O 0.799 0.965 0.408
O 0.823 0.038 0.805
O 0.165 0.963 0.914
O 0.690 0.163 0.738
O 0.031 0.196 0.193
O 0.140 0.496 0.573
O 0.356 0.496 0.075
O 0.503 0.861 0.362
O 0.026 0.826 0.695
O 0.798 0.971 0.695
O 0.470 0.163 0.241
O 0.958 0.782 0.804
O 0.842 0.546 0.029
O 0.844 0.299 0.528
O 0.167 0.194 0.693
O 0.496 0.132 0.637
O 0.141 0.498 0.862
O 0.639 0.131 0.138
O 0.503 0.642 0.573
O 0.037 0.835 0.407
O 0.825 0.305 0.241
O 0.829 0.020 0.093
O 0.164 0.476 0.972
O 0.839 0.804 0.308
O 0.499 0.132 0.922
O 0.356 0.860 0.862
O 0.357 0.860 0.574
O 0.703 0.158 0.029
O 0.504 0.860 0.075
O 0.983 0.809 0.094
O 0.485 0.315 0.738
O 0.701 0.545 0.529
O 0.524 0.695 0.262
O 0.168 0.200 0.407
O 0.977 0.172 0.595
O 0.165 0.694 0.471
O 0.305 0.470 0.471
O 0.357 0.498 0.362
O 0.631 0.500 0.921
O 0.840 0.525 0.738
O 0.455 0.298 0.029
O 0.524 0.688 0.972
O 0.688 0.517 0.241
O 0.140 0.642 0.075
O 0.798 0.833 0.913
O 0.307 0.840 0.261
O 0.312 0.483 0.759
O 0.163 0.692 0.759
P 0.616 0.953 0.416
P 0.999 0.713 0.750
P 0.621 0.668 0.917
P 0.953 0.332 0.583
P 0.378 0.332 0.082
P 0.335 0.382 0.416
P 0.333 0.953 0.916
P 0.378 0.046 0.583
P 0.048 0.666 0.416
P 0.714 0.001 0.750
P 0.046 0.380 0.917
P 0.955 0.622 0.082
P 0.284 0.002 0.251
P 0.666 0.045 0.083
P 0.669 0.623 0.583
Ta 0.665 0.334 0.687
Ta 0.333 0.666 0.524
Ta 0.333 0.667 0.022
Ta 0.997 0.002 0.146
Ta 0.334 0.665 0.810
Ta 0.994 0.998 0.358
Ta 0.669 0.336 0.188
Ta 0.003 0.004 0.646
Ta 0.333 0.665 0.309
Si 0.998 0.284 0.251
Si 0.287 0.287 0.751
Si 0.715 0.714 0.251
Na 0.001 0.000 0.995
Na 0.665 0.333 0.837
Na 0.667 0.334 0.337
Sc 0.005 0.003 0.854
Sc 0.666 0.333 0.978
Sc 0.667 0.334 0.480



[2]
Na7Sc3TaSi3P3O24 after structural relaxation, computed with PBE.

Calculated values
Calculated total energy: -7.315 eV/atom
Energy with MP2020 corrections: -7.717 eV per atom
Formation enthalpy at 0 K: -125.0 eV/f.u.

Cell: 9.126 9.119 22.556 Å, 90.03 90.00 119.99°
Fractional coordinates of all 123 atoms:
Na 0.041 0.333 0.081
Na 0.643 0.633 0.745
Na 0.301 0.965 0.084
Na 0.665 0.332 0.334
Na 0.662 0.323 0.828
Na 0.297 0.341 0.584
Na 0.632 0.999 0.252
Na 0.994 0.354 0.743
Na 0.334 0.671 0.660
Na 0.979 0.301 0.417
Na 0.660 0.701 0.085
Na 0.002 0.634 0.254
Na 0.697 0.676 0.417
Na 0.990 0.998 0.996
Na 0.666 0.960 0.581
Na 0.036 0.699 0.583
Na 0.997 0.999 0.500
Na 0.325 0.023 0.416
Na 0.321 0.297 0.913
Na 0.367 0.369 0.252
Na 0.338 0.667 0.166
Sc 0.001 0.003 0.852
Sc 0.661 0.332 0.685
Sc 0.662 0.330 0.183
Sc 0.001 0.004 0.146
Sc 0.333 0.663 0.516
Sc 0.999 0.000 0.353
Sc 0.334 0.666 0.320
Sc 0.001 0.006 0.648
Sc 0.334 0.664 0.017
Si 0.335 0.371 0.417
Si 0.961 0.334 0.586
Si 0.297 0.294 0.752
Si 0.039 0.666 0.417
Si 0.627 0.963 0.417
Si 0.375 0.334 0.083
Si 0.665 0.038 0.084
Si 0.036 0.372 0.919
Si 0.667 0.629 0.586
P 0.704 0.997 0.751
P 0.335 0.959 0.919
P 0.955 0.621 0.083
P 0.706 0.706 0.249
P 0.005 0.711 0.751
P 0.294 0.999 0.249
P 0.626 0.666 0.918
P 0.001 0.297 0.249
P 0.377 0.044 0.583
O 0.837 0.025 0.085
O 0.008 0.826 0.410
O 0.849 0.362 0.923
O 0.298 0.453 0.475
O 0.209 0.022 0.304
O 0.976 0.188 0.305
O 0.973 0.160 0.586
O 0.492 0.334 0.749
O 0.357 0.866 0.578
O 0.191 0.158 0.085
O 0.155 0.701 0.475
O 0.352 0.500 0.078
O 0.506 0.351 0.425
O 0.691 0.170 0.027
O 0.378 0.491 0.358
O 0.688 0.156 0.746
O 0.689 0.526 0.246
O 0.772 0.955 0.694
O 0.312 0.837 0.252
O 0.023 0.210 0.193
O 0.164 0.475 0.252
O 0.504 0.640 0.863
O 0.500 0.142 0.922
O 0.477 0.312 0.024
O 0.465 0.154 0.526
O 0.637 0.512 0.644
O 0.976 0.797 0.803
O 0.686 0.524 0.527
O 0.141 0.500 0.861
O 0.527 0.688 0.252
O 0.490 0.129 0.637
O 0.818 0.991 0.410
O 0.021 0.188 0.912
O 0.509 0.885 0.358
O 0.803 0.816 0.909
O 0.821 0.022 0.804
O 0.645 0.153 0.425
O 0.847 0.493 0.425
O 0.637 0.124 0.143
O 0.317 0.861 0.976
O 0.879 0.515 0.139
O 0.627 0.493 0.921
O 0.792 0.814 0.193
O 0.835 0.525 0.029
O 0.033 0.810 0.692
O 0.966 0.796 0.085
O 0.169 0.692 0.760
O 0.871 0.358 0.644
O 0.473 0.161 0.246
O 0.813 0.791 0.304
O 0.492 0.367 0.141
O 0.546 0.688 0.974
O 0.133 0.644 0.076
O 0.360 0.866 0.865
O 0.835 0.310 0.527
O 0.172 0.181 0.410
O 0.501 0.651 0.580
O 0.146 0.504 0.580
O 0.844 0.811 0.586
O 0.496 0.853 0.078
O 0.176 0.219 0.693
O 0.842 0.318 0.245
O 0.205 0.187 0.811
O 0.315 0.492 0.761
O 0.151 0.459 0.977
O 0.853 0.526 0.748
O 0.115 0.623 0.358
O 0.184 0.988 0.912
O 0.524 0.834 0.762
O 0.546 0.845 0.475
O 0.202 0.032 0.586
O 0.186 0.977 0.193
Ta 0.328 0.665 0.815
Ta 0.669 0.328 0.979
Ta 0.671 0.337 0.481



Look up the energy with MP2020 corrections of the second one.
-7.717 eV per atom